Compound: LiCoSiO4
Source: the Materials Project database
Functional: GGA+U
Structure: relaxed

Structure (CIF):
```
data_LiCoSiO4
_cell_length_a 5.546
_cell_length_b 5.384
_cell_length_c 8.089
_cell_angle_alpha 90.00
_cell_angle_beta 130.13
_cell_angle_gamma 90.00
_space_group_name_H-M_alt 'P 1 c 1'
_space_group_IT_number 7
_space_group_name_Hall 'P -2yc'
loop_
_atom_site_label
_atom_site_fract_x
_atom_site_fract_y
_atom_site_fract_z
_atom_site_occupancy
Li1 0.000 0.173 0.000 1
Co1 0.386 0.329 0.718 1
Si1 0.651 0.181 0.482 1
O1 0.370 0.330 0.257 1
O2 0.583 0.119 0.957 1
O3 0.692 0.287 0.689 1
O4 0.986 0.202 0.527 1
```

Results
For the excess energy over the best structure of this formula in the dataset, the calculation gives 56 meV per atom. Its piezoelectric modulus e_max is 0.3 C/m².

Compound: LiCoSiO4
Source: the Materials Project database
Functional: GGA+U
Structure: relaxed

Structure (CIF):
```
data_LiCoSiO4
_cell_length_a 11.109
_cell_length_b 5.021
_cell_length_c 6.044
_cell_angle_alpha 90.00
_cell_angle_beta 90.00
_cell_angle_gamma 90.00
_space_group_name_H-M_alt 'P n a 21'
_space_group_IT_number 33
_space_group_name_Hall 'P 2c -2n'
loop_
_atom_site_label
_atom_site_fract_x
_atom_site_fract_y
_atom_site_fract_z
_atom_site_occupancy
Li1 0.077 0.170 0.000 1
Co1 0.167 0.672 0.746 1
Si1 0.172 0.670 0.250 1
O1 0.093 0.740 0.474 1
O2 0.106 0.781 0.023 1
O3 0.184 0.344 0.231 1
O4 0.192 0.303 0.771 1
```

Results
For the excess energy over the best structure of this formula in the dataset, the calculation gives 40 meV per atom. Its piezoelectric modulus e_max is 0.1 C/m².

Compound: Li5Co4Si6O20
Source: the Materials Project database
Functional: GGA+U
Structure: relaxed

Structure (CIF):
```
data_Li5Co4Si6O20
_cell_length_a 5.341
_cell_length_b 5.413
_cell_length_c 17.051
_cell_angle_alpha 94.04
_cell_angle_beta 90.19
_cell_angle_gamma 119.25
_space_group_name_H-M_alt 'P 1'
_space_group_IT_number 1
_space_group_name_Hall 'P 1'
loop_
_atom_site_label
_atom_site_fract_x
_atom_site_fract_y
_atom_site_fract_z
_atom_site_occupancy
Li1 0.000 0.000 0.000 1
Li2 0.014 0.914 0.685 1
Li3 0.506 0.905 0.285 1
Li4 0.662 0.900 0.791 1
Li5 0.679 0.801 0.488 1
Co1 0.015 0.582 0.820 1
Co2 0.655 0.215 0.648 1
Co3 0.852 0.231 0.151 1
Co4 0.855 0.592 0.321 1
Si1 0.171 0.246 0.337 1
Si2 0.314 0.560 0.643 1
Si3 0.353 0.248 0.841 1
Si4 0.542 0.579 0.141 1
Si5 0.704 0.408 0.988 1
Si6 0.984 0.405 0.489 1
O1 0.035 0.555 0.688 1
O2 0.061 0.963 0.806 1
O3 0.082 0.215 0.429 1
O4 0.171 0.950 0.308 1
O5 0.219 0.308 0.136 1
O6 0.278 0.606 0.547 1
O7 0.317 0.265 0.652 1
O8 0.338 0.540 0.827 1
O9 0.386 0.227 0.937 1
O10 0.475 0.538 0.327 1
O11 0.555 0.873 0.174 1
O12 0.613 0.840 0.676 1
O13 0.638 0.261 0.800 1
O14 0.676 0.634 0.052 1
O15 0.734 0.172 0.537 1
O16 0.754 0.505 0.193 1
O17 0.778 0.199 0.034 1
O18 0.888 0.593 0.437 1
O19 0.912 0.269 0.290 1
O20 0.942 0.622 0.930 1
```

Which ρ belongs to each record? In order, 2.841, 3.112, 2.940 g cm⁻³.
Which total energy belongs to each record? In order, -6.561, -6.577, -6.759 eV/atom.
Which energy relative to the elements belongs to each record? In order, -2.297, -2.313, -2.496 eV/atom.